Entry P
The following is a DFT calculation (GGA+U) of a relaxed LiFeP2O7 crystal.

Cell lengths 7.182, 8.242, 9.717 Å; angles 90.00, 111.01, 90.00 degrees
Atoms (fractional coordinates):
Li  0.171  0.114  0.250
Li  0.171  0.386  0.750
Li  0.829  0.614  0.250
Li  0.829  0.886  0.750
Fe  0.236  0.001  0.749
Fe  0.236  0.499  0.249
Fe  0.764  0.501  0.751
Fe  0.764  0.999  0.251
P  0.185  0.693  0.944
P  0.185  0.807  0.444
P  0.408  0.231  0.052
P  0.408  0.269  0.552
P  0.592  0.731  0.448
P  0.592  0.769  0.948
P  0.815  0.193  0.556
P  0.815  0.307  0.056
O  0.061  0.560  0.841
O  0.061  0.940  0.341
O  0.123  0.637  0.379
O  0.123  0.863  0.879
O  0.196  0.680  0.102
O  0.196  0.820  0.602
O  0.284  0.166  0.616
O  0.284  0.334  0.116
O  0.290  0.199  0.888
O  0.290  0.301  0.388
O  0.404  0.657  0.939
O  0.404  0.843  0.439
O  0.485  0.077  0.143
O  0.485  0.423  0.643
O  0.515  0.577  0.357
O  0.515  0.923  0.857
O  0.596  0.157  0.561
O  0.596  0.343  0.061
O  0.710  0.699  0.612
O  0.710  0.801  0.112
O  0.716  0.666  0.884
O  0.716  0.834  0.384
O  0.804  0.180  0.398
O  0.804  0.320  0.898
O  0.877  0.137  0.121
O  0.877  0.363  0.621
O  0.939  0.060  0.659
O  0.939  0.440  0.159

SG = P2_1/c (14)
Crystal system = monoclinic

=====

Entry Q
The following is a DFT calculation (GGA+U) of a relaxed LiFeP2O7 crystal.

Cell lengths 9.687, 9.775, 11.209 Å; angles 90.24, 101.28, 90.30 degrees
Atoms (fractional coordinates):
Li  0.000  0.000  0.000
Li  0.006  0.358  0.471
Li  0.287  0.089  0.518
Li  0.481  0.288  0.994
Li  0.518  0.674  0.427
Li  0.569  0.962  0.505
Li  0.753  0.492  0.925
Li  0.811  0.786  0.941
Fe  0.111  0.810  0.642
Fe  0.162  0.590  0.145
Fe  0.167  0.109  0.804
Fe  0.199  0.306  0.299
Fe  0.610  0.464  0.640
Fe  0.652  0.676  0.149
Fe  0.656  0.177  0.800
Fe  0.700  0.972  0.291
P  0.022  0.601  0.856
P  0.025  0.029  0.398
P  0.279  0.533  0.552
P  0.293  0.099  0.092
P  0.337  0.305  0.729
P  0.386  0.836  0.225
P  0.431  0.939  0.733
P  0.475  0.461  0.213
P  0.512  0.670  0.858
P  0.529  0.241  0.402
P  0.784  0.743  0.552
P  0.791  0.181  0.088
P  0.846  0.967  0.736
P  0.885  0.441  0.225
P  0.929  0.333  0.728
P  0.966  0.811  0.207
O  0.007  0.225  0.817
O  0.014  0.473  0.764
O  0.037  0.944  0.277
O  0.039  0.422  0.198
O  0.060  0.689  0.254
O  0.082  0.717  0.790
O  0.085  0.173  0.380
O  0.119  0.557  0.976
O  0.119  0.960  0.506
O  0.191  0.049  0.973
O  0.192  0.445  0.452
O  0.219  0.208  0.156
O  0.221  0.672  0.575
O  0.243  0.194  0.656
O  0.275  0.930  0.752
O  0.284  0.451  0.680
O  0.303  0.974  0.187
O  0.308  0.725  0.140
O  0.317  0.283  0.859
O  0.319  0.465  0.235
O  0.371  0.225  0.407
O  0.371  0.641  0.881
O  0.393  0.819  0.359
O  0.435  0.546  0.539
O  0.436  0.971  0.601
O  0.437  0.135  0.074
O  0.494  0.456  0.084
O  0.496  0.301  0.716
O  0.510  0.797  0.763
O  0.513  0.045  0.823
O  0.538  0.325  0.281
O  0.540  0.850  0.195
O  0.562  0.584  0.276
O  0.588  0.099  0.382
O  0.588  0.557  0.796
O  0.610  0.320  0.511
O  0.626  0.714  0.975
O  0.685  0.820  0.451
O  0.688  0.240  0.972
O  0.718  0.065  0.145
O  0.719  0.603  0.572
O  0.743  0.080  0.678
O  0.776  0.353  0.759
O  0.779  0.827  0.677
O  0.801  0.299  0.189
O  0.803  0.543  0.131
O  0.814  0.801  0.237
O  0.840  0.960  0.870
O  0.869  0.034  0.402
O  0.875  0.625  0.876
O  0.883  0.465  0.356
O  0.927  0.306  0.598
O  0.933  0.152  0.065
O  0.936  0.739  0.539
O  0.961  0.832  0.074
O  0.998  0.977  0.711

SG = P1 (1)
Crystal system = triclinic

=====

entry P comes first in stability; the runner-up is 64 meV/atom higher.

=====

Entry P
The following is a DFT calculation (GGA+U) of a relaxed LiFeP2O7 crystal.

Cell lengths 7.001, 8.300, 9.126 Å; angles 90.00, 114.00, 90.00 degrees
Atoms (fractional coordinates):
Li  0.212  0.054  0.339
Li  0.212  0.446  0.839
Li  0.788  0.554  0.161
Li  0.788  0.946  0.661
Fe  0.258  0.075  0.879
Fe  0.258  0.425  0.379
Fe  0.742  0.575  0.621
Fe  0.742  0.925  0.121
P  0.035  0.734  0.966
P  0.035  0.766  0.466
P  0.441  0.734  0.259
P  0.441  0.766  0.759
P  0.559  0.234  0.241
P  0.559  0.266  0.741
P  0.965  0.234  0.534
P  0.965  0.266  0.034
O  0.022  0.097  0.657
O  0.022  0.403  0.157
O  0.076  0.605  0.401
O  0.076  0.895  0.901
O  0.126  0.249  0.959
O  0.126  0.251  0.459
O  0.245  0.666  0.104
O  0.245  0.834  0.604
O  0.383  0.244  0.301
O  0.383  0.256  0.801
O  0.388  0.614  0.820
O  0.388  0.886  0.320
O  0.482  0.589  0.380
O  0.482  0.911  0.880
O  0.518  0.089  0.120
O  0.518  0.411  0.620
O  0.612  0.114  0.680
O  0.612  0.386  0.180
O  0.617  0.744  0.199
O  0.617  0.756  0.699
O  0.755  0.166  0.396
O  0.755  0.334  0.896
O  0.874  0.749  0.541
O  0.874  0.751  0.041
O  0.924  0.105  0.099
O  0.924  0.395  0.599
O  0.978  0.597  0.843
O  0.978  0.903  0.343

SG = P2_1/c (14)
Crystal system = monoclinic

=====

Entry Q
The following is a DFT calculation (GGA+U) of a relaxed LiFeP2O7 crystal.

Cell lengths 4.949, 8.065, 14.204 Å; angles 90.00, 100.66, 90.00 degrees
Atoms (fractional coordinates):
Li  0.047  0.142  0.379
Li  0.047  0.358  0.879
Li  0.953  0.642  0.121
Li  0.953  0.858  0.621
Fe  0.329  0.236  0.689
Fe  0.329  0.264  0.189
Fe  0.671  0.736  0.811
Fe  0.671  0.764  0.311
P  0.157  0.529  0.322
P  0.157  0.971  0.822
P  0.262  0.718  0.956
P  0.262  0.782  0.456
P  0.738  0.218  0.544
P  0.738  0.282  0.044
P  0.843  0.029  0.178
P  0.843  0.471  0.678
O  0.033  0.633  0.882
O  0.033  0.867  0.382
O  0.157  0.051  0.208
O  0.157  0.449  0.708
O  0.229  0.580  0.433
O  0.229  0.920  0.933
O  0.243  0.695  0.058
O  0.243  0.805  0.558
O  0.245  0.153  0.814
O  0.245  0.347  0.314
O  0.310  0.646  0.264
O  0.310  0.854  0.764
O  0.452  0.179  0.570
O  0.452  0.321  0.070
O  0.548  0.679  0.930
O  0.548  0.821  0.430
O  0.690  0.146  0.236
O  0.690  0.354  0.736
O  0.755  0.653  0.686
O  0.755  0.847  0.186
O  0.757  0.195  0.442
O  0.757  0.305  0.942
O  0.771  0.080  0.067
O  0.771  0.420  0.567
O  0.843  0.551  0.292
O  0.843  0.949  0.792
O  0.967  0.133  0.618
O  0.967  0.367  0.118

SG = P2_1/c (14)
Crystal system = monoclinic

=====

Entry R
The following is a DFT calculation (GGA+U) of a relaxed LiFeP2O7 crystal.

Cell lengths 7.033, 9.473, 8.748 Å; angles 109.67, 87.08, 94.74 degrees
Atoms (fractional coordinates):
Li  0.000  0.000  0.000
Li  0.500  0.500  0.500
Li  0.750  0.750  0.250
Li  0.250  0.250  0.750
P  0.586  0.022  0.241
P  0.086  0.522  0.742
P  0.178  0.948  0.261
P  0.914  0.478  0.258
P  0.322  0.551  0.239
P  0.678  0.449  0.761
P  0.822  0.052  0.739
P  0.414  0.978  0.759
O  0.057  0.650  0.682
O  0.943  0.350  0.318
O  0.269  0.940  0.625
O  0.557  0.150  0.182
O  0.443  0.850  0.818
O  0.804  0.131  0.924
O  0.391  0.983  0.331
O  0.609  0.017  0.669
O  0.196  0.869  0.076
O  0.769  0.440  0.125
O  0.863  0.627  0.392
O  0.595  0.600  0.792
O  0.696  0.369  0.576
O  0.731  0.060  0.375
O  0.891  0.483  0.831
O  0.137  0.373  0.608
O  0.304  0.631  0.424
O  0.405  0.400  0.208
O  0.231  0.560  0.875
O  0.095  0.100  0.292
O  0.936  0.149  0.653
O  0.109  0.517  0.169
O  0.363  0.127  0.892
O  0.905  0.900  0.708
O  0.436  0.649  0.153
O  0.064  0.851  0.347
O  0.637  0.873  0.108
O  0.564  0.351  0.847
Fe  0.579  0.270  0.036
Fe  0.921  0.230  0.464
Fe  0.421  0.730  0.964
Fe  0.078  0.770  0.536

=====

entry P comes first in stability; the runner-up is 36 meV/atom higher.

=====

Entry P
The following is a DFT calculation (GGA+U) of a relaxed LiFe2P2O8 crystal.

Cell lengths 8.774, 5.246, 8.537 Å; angles 90.00, 108.81, 90.00 degrees
Atoms (fractional coordinates):
Li  0.000  0.176  0.000
Li  0.000  0.824  0.500
Fe  0.289  0.317  0.908
Fe  0.289  0.683  0.408
Fe  0.765  0.194  0.244
Fe  0.765  0.806  0.744
P  0.394  0.186  0.265
P  0.394  0.814  0.765
P  0.907  0.311  0.637
P  0.907  0.689  0.137
O  0.068  0.273  0.787
O  0.068  0.727  0.287
O  0.241  0.216  0.105
O  0.241  0.784  0.605
O  0.364  0.349  0.404
O  0.364  0.651  0.904
O  0.411  0.094  0.824
O  0.411  0.906  0.324
O  0.536  0.274  0.213
O  0.536  0.726  0.713
O  0.775  0.185  0.692
O  0.775  0.815  0.192
O  0.877  0.398  0.108
O  0.877  0.602  0.608
O  0.929  0.184  0.482
O  0.929  0.816  0.982

SG = Pc (7)
Crystal system = monoclinic

=====

Entry Q
The following is a DFT calculation (GGA+U) of a relaxed LiFe2P2O8 crystal.

Cell lengths 5.174, 10.230, 6.934 Å; angles 90.00, 90.39, 90.00 degrees
Atoms (fractional coordinates):
Li  0.050  0.000  0.251
Li  0.950  0.500  0.749
Fe  0.054  0.952  0.744
Fe  0.452  0.296  0.732
Fe  0.548  0.796  0.268
Fe  0.946  0.452  0.256
P  0.045  0.720  0.017
P  0.445  0.536  0.482
P  0.555  0.036  0.518
P  0.955  0.220  0.983
O  0.009  0.072  0.976
O  0.029  0.270  0.183
O  0.103  0.297  0.819
O  0.152  0.505  0.497
O  0.336  0.749  0.060
O  0.427  0.972  0.332
O  0.436  0.979  0.701
O  0.493  0.687  0.485
O  0.507  0.187  0.515
O  0.564  0.479  0.299
O  0.573  0.472  0.668
O  0.664  0.249  0.940
O  0.848  0.005  0.503
O  0.897  0.797  0.181
O  0.971  0.770  0.817
O  0.991  0.572  0.024

SG = P2_1 (4)
Crystal system = monoclinic

=====

Entry R
The following is a DFT calculation (GGA+U) of a relaxed LiFe2P2O8 crystal.

Cell lengths 7.793, 5.459, 8.533 Å; angles 90.00, 104.41, 90.00 degrees
Atoms (fractional coordinates):
Li  0.000  0.174  0.000
Li  0.000  0.826  0.500
Fe  0.415  0.154  0.345
Fe  0.415  0.846  0.845
Fe  0.861  0.331  0.617
Fe  0.861  0.669  0.117
P  0.111  0.326  0.375
P  0.111  0.674  0.875
P  0.612  0.173  0.055
P  0.612  0.827  0.555
O  0.033  0.414  0.830
O  0.033  0.586  0.330
O  0.148  0.187  0.224
O  0.148  0.813  0.724
O  0.302  0.336  0.488
O  0.302  0.664  0.988
O  0.459  0.186  0.897
O  0.459  0.814  0.397
O  0.549  0.265  0.203
O  0.549  0.735  0.703
O  0.650  0.110  0.565
O  0.650  0.890  0.065
O  0.776  0.320  0.042
O  0.776  0.680  0.542
O  0.985  0.178  0.453
O  0.985  0.822  0.953

SG = Pc (7)
Crystal system = monoclinic

=====

entry P comes first in stability; the runner-up is 10 meV/atom higher.